# Li3V3P8O29 (PBE with a Hubbard U, optimized geometry)
# - energy of formation from the pure elements (eV per atom) = -2.52
# - DFT total energy (eV for the cell shown) = -605.90
# - energy relative to the lowest polymorph listed for this composition (meV per atom) = 16.7
# - space group = No. 1
# - total magnetic moment (μB per cell) = 0.00
data_Li3V3P8O29
_chemical_formula_sum 'Li6 V6 P16 O58'
_cell_length_a 9.7419
_cell_length_b 9.7694
_cell_length_c 14.0671
_cell_angle_alpha 90.01
_cell_angle_beta 90.19
_cell_angle_gamma 119.89
_symmetry_space_group_name_H-M 'P 1'
_symmetry_Int_Tables_number 1
loop_
_symmetry_equiv_pos_as_xyz
'x,y,z'
loop_
_atom_site_label
_atom_site_fract_x
_atom_site_fract_y
_atom_site_fract_z
Li1 0.0000 0.0000 0.0000
Li2 0.0455 0.7503 0.4587
Li3 0.1793 0.1006 0.3944
Li4 0.3177 0.6789 0.3931
Li5 0.3921 0.8598 0.9964
Li6 0.7629 0.6771 0.8818
V1 0.0833 0.3415 0.6982
V2 0.0883 0.2149 0.1943
V3 0.5201 0.2083 0.6954
V4 0.5224 0.7751 0.1972
V5 0.6509 0.3401 0.1969
V6 0.6542 0.7786 0.6875
P1 0.0010 0.4660 0.2855
P2 0.1706 0.5480 0.0992
P3 0.1730 0.0884 0.6053
P4 0.3072 0.6837 0.6046
P5 0.3154 0.0887 0.1016
P6 0.3947 0.0006 0.2884
P7 0.4044 0.8634 0.7851
P8 0.4189 0.4408 0.3154
P9 0.4224 0.4439 0.8150
P10 0.7510 0.1067 0.0761
P11 0.7532 0.1114 0.5743
P12 0.7688 0.6853 0.1044
P13 0.7771 0.5476 0.6016
P14 0.8574 0.4608 0.7879
P15 0.8654 0.8622 0.2882
P16 0.9965 0.0016 0.7870
O1 0.9995 0.4308 0.7821
O2 0.0040 0.0362 0.2815
O3 0.0772 0.0079 0.8780
O4 0.0840 0.5682 0.1918
O5 0.0836 0.9790 0.6960
O6 0.0873 0.5360 0.0102
O7 0.0902 0.5561 0.3707
O8 0.0968 0.0023 0.5149
O9 0.1681 0.5131 0.6131
O10 0.1696 0.1144 0.1054
O11 0.1720 0.2443 0.6189
O12 0.1799 0.3940 0.1236
O13 0.2694 0.4350 0.7698
O14 0.2702 0.2870 0.2720
O15 0.2903 0.7734 0.6953
O16 0.2922 0.9800 0.1937
O17 0.3008 0.7596 0.5137
O18 0.3009 0.9953 0.3724
O19 0.3241 0.0078 0.0154
O20 0.3322 0.7816 0.8754
O21 0.3429 0.6921 0.1089
O22 0.3447 0.1192 0.6132
O23 0.4095 0.4353 0.4206
O24 0.4122 0.5895 0.2753
O25 0.4222 0.4400 0.9208
O26 0.4262 0.8584 0.2849
O27 0.4281 0.2999 0.7673
O28 0.4309 0.0329 0.7777
O29 0.4658 0.6826 0.6171
O30 0.4680 0.2493 0.1227
O31 0.5541 0.1572 0.2737
O32 0.5630 0.8686 0.7638
O33 0.5667 0.4432 0.2704
O34 0.5706 0.5951 0.7750
O35 0.6013 0.9552 0.1211
O36 0.6054 0.1083 0.6192
O37 0.6068 0.6772 0.1258
O38 0.6210 0.3902 0.6135
O39 0.7041 0.3006 0.7695
O40 0.7049 0.8613 0.2717
O41 0.7389 0.6850 0.6133
O42 0.7428 0.5170 0.1117
O43 0.7447 0.0961 0.9712
O44 0.7477 0.2503 0.1228
O45 0.7533 0.9592 0.6180
O46 0.7539 0.1052 0.4688
O47 0.8267 0.8552 0.7824
O48 0.8277 0.4298 0.2795
O49 0.8365 0.7711 0.0136
O50 0.8492 0.5431 0.8743
O51 0.8719 0.5691 0.5152
O52 0.8743 0.7801 0.3736
O53 0.8821 0.5680 0.6950
O54 0.8843 0.7819 0.1912
O55 0.9011 0.2558 0.6204
O56 0.9021 0.1054 0.1178
O57 0.9885 0.1538 0.7685
O58 0.9993 0.3057 0.2702